[1]
CsGd2Ag3Te5 | r²SCAN | relaxed

Cell and atoms, written as POSCAR:
```
CsGd2Ag3Te5
1.0
2.2957 -8.1744 0.0000
2.2957 8.1744 0.0000
0.0000 0.0000 18.7943
Cs Gd Ag Te
2 4 6 10
direct
0.0583 0.9417 0.7500 Cs
0.9417 0.0583 0.2500 Cs
0.1918 0.8082 0.0939 Gd
0.1918 0.8082 0.4061 Gd
0.8082 0.1918 0.5939 Gd
0.8082 0.1918 0.9061 Gd
0.3418 0.6582 0.7500 Ag
0.4167 0.5833 0.0322 Ag
0.4167 0.5833 0.4678 Ag
0.5833 0.4167 0.5322 Ag
0.5833 0.4167 0.9678 Ag
0.6582 0.3418 0.2500 Ag
0.1759 0.8241 0.5711 Te
0.1759 0.8241 0.9289 Te
0.2526 0.7474 0.2500 Te
0.4367 0.5633 0.6185 Te
0.4367 0.5633 0.8815 Te
0.5633 0.4367 0.1185 Te
0.5633 0.4367 0.3815 Te
0.7474 0.2526 0.7500 Te
0.8241 0.1759 0.0711 Te
0.8241 0.1759 0.4289 Te
```

## Properties
* size of the total moment: 14.00 μB per formula unit
* calculated total energy: -28.60 eV per atom
* ΔH_f (0 K): -1.05 eV/atom

***

[2]
CsAg7S4 | r²SCAN | relaxed

Cell and atoms, written as POSCAR:
```
CsAg7S4
1.0
11.2269 0.0000 0.0000
0.0000 11.2269 0.0000
0.0000 0.0000 8.4418
Cs Ag S
4 28 16
direct
0.2500 0.2500 0.1196 Cs
0.2500 0.2500 0.6221 Cs
0.7500 0.7500 0.3779 Cs
0.7500 0.7500 0.8804 Cs
0.0000 0.0000 0.0000 Ag
0.0000 0.5000 0.0000 Ag
0.0195 0.9624 0.6620 Ag
0.0376 0.5195 0.3380 Ag
0.1092 0.7894 0.3873 Ag
0.1150 0.7692 0.8787 Ag
0.2106 0.6092 0.6127 Ag
0.2308 0.6150 0.1213 Ag
0.2692 0.8850 0.1213 Ag
0.2894 0.8908 0.6127 Ag
0.3850 0.7308 0.8787 Ag
0.3908 0.7106 0.3873 Ag
0.4624 0.9805 0.3380 Ag
0.4805 0.5376 0.6620 Ag
0.5000 0.0000 0.0000 Ag
0.5000 0.5000 0.0000 Ag
0.5195 0.4624 0.3380 Ag
0.5376 0.0195 0.6620 Ag
0.6092 0.2894 0.6127 Ag
0.6150 0.2692 0.1213 Ag
0.7106 0.1092 0.3873 Ag
0.7308 0.1150 0.8787 Ag
0.7692 0.3850 0.8787 Ag
0.7894 0.3908 0.3873 Ag
0.8850 0.2308 0.1213 Ag
0.8908 0.2106 0.6127 Ag
0.9624 0.4805 0.6620 Ag
0.9805 0.0376 0.3380 Ag
0.0054 0.6948 0.6272 S
0.0113 0.6891 0.1353 S
0.1891 0.9887 0.8647 S
0.1948 0.9946 0.3728 S
0.3052 0.5054 0.3728 S
0.3109 0.5113 0.8647 S
0.4887 0.8109 0.1353 S
0.4946 0.8052 0.6272 S
0.5054 0.1948 0.3728 S
0.5113 0.1891 0.8647 S
0.6891 0.4887 0.1353 S
0.6948 0.4946 0.6272 S
0.8052 0.0054 0.6272 S
0.8109 0.0113 0.1353 S
0.9887 0.3109 0.8647 S
0.9946 0.3052 0.3728 S
```

## Properties
* size of the total moment: 0.00 μB per formula unit
* calculated total energy: -17.54 eV per atom
* ΔH_f (0 K): -0.31 eV/atom

***

[3]
CsAg3Se2 | r²SCAN | relaxed

Cell and atoms, written as POSCAR:
```
CsAg3Se2
1.0
8.3684 -2.2144 0.0000
8.3684 2.2144 0.0000
-3.5059 0.0000 8.5780
Cs Ag Se
2 6 4
direct
0.1370 0.1370 0.0472 Cs
0.8630 0.8630 0.9528 Cs
0.0579 0.0579 0.4057 Ag
0.3111 0.3111 0.5610 Ag
0.4114 0.4114 0.3655 Ag
0.5886 0.5886 0.6345 Ag
0.6889 0.6889 0.4390 Ag
0.9421 0.9421 0.5943 Ag
0.1944 0.1944 0.6854 Se
0.4773 0.4773 0.7703 Se
0.5227 0.5227 0.2297 Se
0.8056 0.8056 0.3146 Se
```

## Properties
* size of the total moment: 0.00 μB per formula unit
* calculated total energy: -20.17 eV per atom
* ΔH_f (0 K): -0.53 eV/atom

***

[4]
DyCu4Ag | r²SCAN | relaxed

Cell and atoms, written as POSCAR:
```
DyCu4Ag
1.0
0.0000 3.5375 3.5375
3.5375 0.0000 3.5375
3.5375 3.5375 0.0000
Dy Cu Ag
1 4 1
direct
0.0000 0.0000 0.0000 Dy
0.3760 0.3760 0.3760 Cu
0.3760 0.3760 0.8720 Cu
0.3760 0.8720 0.3760 Cu
0.8720 0.3760 0.3760 Cu
0.7500 0.7500 0.7500 Ag
```

## Properties
* size of the total moment: 0.00 μB per formula unit
* calculated total energy: -16.35 eV per atom
* ΔH_f (0 K): -0.23 eV/atom

***

[5]
NdCuAg | r²SCAN | relaxed

Cell and atoms, written as POSCAR:
```
NdCuAg
1.0
10.1088 0.0000 0.0000
0.0000 4.1890 0.0000
-4.1784 0.0000 5.9437
Nd Cu Ag
4 4 4
direct
0.0565 0.0000 0.3001 Nd
0.4435 0.5000 0.6999 Nd
0.5565 0.5000 0.3001 Nd
0.9435 0.0000 0.6999 Nd
0.1397 0.5000 0.6739 Cu
0.3603 0.0000 0.3261 Cu
0.6397 0.0000 0.6739 Cu
0.8603 0.5000 0.3261 Cu
0.1796 0.5000 0.0895 Ag
0.3204 0.0000 0.9105 Ag
0.6796 0.0000 0.0895 Ag
0.8204 0.5000 0.9105 Ag
```

## Properties
* size of the total moment: 0.00 μB per formula unit
* calculated total energy: -20.78 eV per atom
* ΔH_f (0 K): -0.24 eV/atom

***

[6]
CuAgO2 | r²SCAN | relaxed

Cell and atoms, written as POSCAR:
```
CuAgO2
1.0
2.8164 0.0000 0.0000
0.0000 3.3539 0.0000
0.0000 0.0000 5.4042
Cu Ag O
1 1 2
direct
0.0000 0.0000 0.0000 Cu
0.5000 0.5000 0.5000 Ag
0.5000 0.0000 0.2292 O
0.5000 0.0000 0.7708 O
```

## Properties
* size of the total moment: 0.22 μB per formula unit
* calculated total energy: -11.53 eV per atom
* ΔH_f (0 K): -0.50 eV/atom

***

[7]
Ti4CuAg | r²SCAN | relaxed

Cell and atoms, written as POSCAR:
```
Ti4CuAg
1.0
2.9338 0.0000 0.0000
0.0000 2.9338 0.0000
0.0000 0.0000 11.2545
Ti Cu Ag
4 1 1
direct
0.0000 0.0000 0.1525 Ti
0.0000 0.0000 0.8475 Ti
0.5000 0.5000 0.3190 Ti
0.5000 0.5000 0.6810 Ti
0.5000 0.5000 0.0000 Cu
0.0000 0.0000 0.5000 Ag
```

## Properties
* size of the total moment: 0.00 μB per formula unit
* calculated total energy: -14.07 eV per atom
* ΔH_f (0 K): -0.08 eV/atom

***

[8]
TmCu4Ag | r²SCAN | relaxed

Cell and atoms, written as POSCAR:
```
TmCu4Ag
1.0
0.0000 3.5139 3.5139
3.5139 0.0000 3.5139
3.5139 3.5139 0.0000
Tm Cu Ag
1 4 1
direct
0.0000 0.0000 0.0000 Tm
0.1269 0.6244 0.6244 Cu
0.6244 0.1269 0.6244 Cu
0.6244 0.6244 0.1269 Cu
0.6244 0.6244 0.6244 Cu
0.2500 0.2500 0.2500 Ag
```

## Properties
* size of the total moment: 0.00 μB per formula unit
* calculated total energy: -16.89 eV per atom
* ΔH_f (0 K): -0.25 eV/atom

***

[9]
ZrCu4Ag | r²SCAN | relaxed

Cell and atoms, written as POSCAR:
```
ZrCu4Ag
1.0
0.0000 3.4649 3.4649
3.4649 0.0000 3.4649
3.4649 3.4649 0.0000
Zr Cu Ag
1 4 1
direct
0.0000 0.0000 0.0000 Zr
0.1265 0.6245 0.6245 Cu
0.6245 0.1265 0.6245 Cu
0.6245 0.6245 0.1265 Cu
0.6245 0.6245 0.6245 Cu
0.2500 0.2500 0.2500 Ag
```

## Properties
* size of the total moment: 0.00 μB per formula unit
* calculated total energy: -14.75 eV per atom
* ΔH_f (0 K): -0.16 eV/atom

***

[10]
DyAg2 | r²SCAN | relaxed

Cell and atoms, written as POSCAR:
```
DyAg2
1.0
3.7116 0.0000 0.0000
0.0000 3.7116 0.0000
0.0000 0.0000 9.1722
Dy Ag
2 4
direct
0.0000 0.0000 0.0000 Dy
0.5000 0.5000 0.5000 Dy
0.0000 0.0000 0.3301 Ag
0.0000 0.0000 0.6699 Ag
0.5000 0.5000 0.1699 Ag
0.5000 0.5000 0.8301 Ag
```

## Properties
* size of the total moment: 0.00 μB per formula unit
* calculated total energy: -25.23 eV per atom
* ΔH_f (0 K): -0.34 eV/atom

***

[11]
Dy2InAg | r²SCAN | relaxed

Cell and atoms, written as POSCAR:
```
Dy2InAg
1.0
7.3823 0.0000 0.0000
0.0000 7.3823 0.0000
0.0000 0.0000 7.3823
Dy In Ag
8 4 4
direct
0.2500 0.2500 0.2500 Dy
0.2500 0.2500 0.7500 Dy
0.2500 0.7500 0.2500 Dy
0.2500 0.7500 0.7500 Dy
0.7500 0.2500 0.2500 Dy
0.7500 0.2500 0.7500 Dy
0.7500 0.7500 0.2500 Dy
0.7500 0.7500 0.7500 Dy
0.0000 0.0000 0.0000 In
0.0000 0.5000 0.5000 In
0.5000 0.0000 0.5000 In
0.5000 0.5000 0.0000 In
0.0000 0.0000 0.5000 Ag
0.0000 0.5000 0.0000 Ag
0.5000 0.0000 0.0000 Ag
0.5000 0.5000 0.5000 Ag
```

## Properties
* size of the total moment: 0.00 μB per formula unit
* calculated total energy: -27.46 eV per atom
* ΔH_f (0 K): -0.49 eV/atom

***

[12]
Dy2InAg | r²SCAN | relaxed

Cell and atoms, written as POSCAR:
```
Dy2InAg
1.0
3.6371 0.0000 0.0000
0.0000 3.6371 0.0000
0.0000 0.0000 7.5522
Dy In Ag
2 1 1
direct
0.0000 0.0000 0.2346 Dy
0.0000 0.0000 0.7654 Dy
0.5000 0.5000 0.5000 In
0.5000 0.5000 0.0000 Ag
```

## Properties
* size of the total moment: 0.00 μB per formula unit
* calculated total energy: -27.46 eV per atom
* ΔH_f (0 K): -0.48 eV/atom

***

[13]
DyLuAg2 | r²SCAN | relaxed

Cell and atoms, written as POSCAR:
```
DyLuAg2
1.0
7.1413 0.0000 0.0000
0.0000 7.1413 0.0000
0.0000 0.0000 7.1413
Dy Lu Ag
4 4 8
direct
0.0000 0.0000 0.0000 Dy
0.0000 0.5000 0.5000 Dy
0.5000 0.0000 0.5000 Dy
0.5000 0.5000 0.0000 Dy
0.0000 0.0000 0.5000 Lu
0.0000 0.5000 0.0000 Lu
0.5000 0.0000 0.0000 Lu
0.5000 0.5000 0.5000 Lu
0.2500 0.2500 0.2500 Ag
0.2500 0.2500 0.7500 Ag
0.2500 0.7500 0.2500 Ag
0.2500 0.7500 0.7500 Ag
0.7500 0.2500 0.2500 Ag
0.7500 0.2500 0.7500 Ag
0.7500 0.7500 0.2500 Ag
0.7500 0.7500 0.7500 Ag
```

## Properties
* size of the total moment: 0.00 μB per formula unit
* calculated total energy: -28.54 eV per atom
* ΔH_f (0 K): -0.35 eV/atom

***

[14]
DyMgAg | r²SCAN | relaxed

Cell and atoms, written as POSCAR:
```
DyMgAg
1.0
7.5443 0.0000 0.0000
-3.7722 6.5336 0.0000
0.0000 0.0000 4.2283
Dy Mg Ag
3 3 3
direct
0.0000 0.5858 0.0000 Dy
0.4142 0.4142 0.0000 Dy
0.5858 0.0000 0.0000 Dy
0.0000 0.2437 0.5000 Mg
0.2437 0.0000 0.5000 Mg
0.7563 0.7563 0.5000 Mg
0.0000 0.0000 0.0000 Ag
0.3333 0.6667 0.5000 Ag
0.6667 0.3333 0.5000 Ag
```

## Properties
* size of the total moment: 0.00 μB per formula unit
* calculated total energy: -19.45 eV per atom
* ΔH_f (0 K): -0.28 eV/atom

***

[15]
DyMgAg2 | r²SCAN | relaxed

Cell and atoms, written as POSCAR:
```
DyMgAg2
1.0
6.9399 0.0000 0.0000
0.0000 6.9399 0.0000
0.0000 0.0000 6.9399
Dy Mg Ag
4 4 8
direct
0.0000 0.0000 0.0000 Dy
0.0000 0.5000 0.5000 Dy
0.5000 0.0000 0.5000 Dy
0.5000 0.5000 0.0000 Dy
0.0000 0.0000 0.5000 Mg
0.0000 0.5000 0.0000 Mg
0.5000 0.0000 0.0000 Mg
0.5000 0.5000 0.5000 Mg
0.2500 0.2500 0.2500 Ag
0.2500 0.2500 0.7500 Ag
0.2500 0.7500 0.2500 Ag
0.2500 0.7500 0.7500 Ag
0.7500 0.2500 0.2500 Ag
0.7500 0.2500 0.7500 Ag
0.7500 0.7500 0.2500 Ag
0.7500 0.7500 0.7500 Ag
```

## Properties
* size of the total moment: 0.00 μB per formula unit
* calculated total energy: -20.01 eV per atom
* ΔH_f (0 K): -0.30 eV/atom

***

[16]
Dy2AgRu | r²SCAN | relaxed

Cell and atoms, written as POSCAR:
```
Dy2AgRu
1.0
6.9618 0.0000 0.0000
0.0000 6.9618 0.0000
0.0000 0.0000 6.9618
Dy Ag Ru
8 4 4
direct
0.2500 0.2500 0.2500 Dy
0.2500 0.2500 0.7500 Dy
0.2500 0.7500 0.2500 Dy
0.2500 0.7500 0.7500 Dy
0.7500 0.2500 0.2500 Dy
0.7500 0.2500 0.7500 Dy
0.7500 0.7500 0.2500 Dy
0.7500 0.7500 0.7500 Dy
0.0000 0.0000 0.0000 Ag
0.0000 0.5000 0.5000 Ag
0.5000 0.0000 0.5000 Ag
0.5000 0.5000 0.0000 Ag
0.0000 0.0000 0.5000 Ru
0.0000 0.5000 0.0000 Ru
0.5000 0.0000 0.0000 Ru
0.5000 0.5000 0.5000 Ru
```

## Properties
* size of the total moment: 0.00 μB per formula unit
* calculated total energy: -28.08 eV per atom
* ΔH_f (0 K): -0.39 eV/atom

***

[17]
DyAgSb2 | r²SCAN | relaxed

Cell and atoms, written as POSCAR:
```
DyAgSb2
1.0
4.2888 0.0000 0.0000
0.0000 4.2888 0.0000
0.0000 0.0000 10.6306
Dy Ag Sb
2 2 4
direct
0.2500 0.2500 0.2322 Dy
0.7500 0.7500 0.7678 Dy
0.2500 0.7500 0.5000 Ag
0.7500 0.2500 0.5000 Ag
0.2500 0.2500 0.6812 Sb
0.2500 0.7500 0.0000 Sb
0.7500 0.2500 0.0000 Sb
0.7500 0.7500 0.3188 Sb
```

## Properties
* size of the total moment: 0.00 μB per formula unit
* calculated total energy: -26.88 eV per atom
* ΔH_f (0 K): -0.69 eV/atom

***

[18]
DySi2Ag2 | r²SCAN | relaxed

Cell and atoms, written as POSCAR:
```
DySi2Ag2
1.0
4.1295 0.0000 0.0000
0.0000 4.1295 0.0000
0.0000 0.0000 10.7158
Dy Si Ag
2 4 4
direct
0.0000 0.0000 0.0000 Dy
0.5000 0.5000 0.5000 Dy
0.0000 0.0000 0.3937 Si
0.0000 0.0000 0.6063 Si
0.5000 0.5000 0.1063 Si
0.5000 0.5000 0.8937 Si
0.0000 0.5000 0.2500 Ag
0.0000 0.5000 0.7500 Ag
0.5000 0.0000 0.2500 Ag
0.5000 0.0000 0.7500 Ag
```

## Properties
* size of the total moment: 0.00 μB per formula unit
* calculated total energy: -18.87 eV per atom
* ΔH_f (0 K): -0.42 eV/atom

***

[19]
ErAg | r²SCAN | relaxed

Cell and atoms, written as POSCAR:
```
ErAg
1.0
3.5740 0.0000 0.0000
0.0000 3.5740 0.0000
0.0000 0.0000 3.5740
Er Ag
1 1
direct
0.0000 0.0000 0.0000 Er
0.5000 0.5000 0.5000 Ag
```

## Properties
* size of the total moment: 0.00 μB per formula unit
* calculated total energy: -27.99 eV per atom
* ΔH_f (0 K): -0.35 eV/atom

***

[20]
ErAgGe | r²SCAN | relaxed

Cell and atoms, written as POSCAR:
```
ErAgGe
1.0
7.0694 0.0000 0.0000
-3.5347 6.1223 0.0000
0.0000 0.0000 4.1694
Er Ag Ge
3 3 3
direct
0.0000 0.5837 0.0000 Er
0.4163 0.4163 0.0000 Er
0.5837 0.0000 0.0000 Er
0.0000 0.2512 0.5000 Ag
0.2512 0.0000 0.5000 Ag
0.7488 0.7488 0.5000 Ag
0.0000 0.0000 0.0000 Ge
0.3333 0.6667 0.5000 Ge
0.6667 0.3333 0.5000 Ge
```

## Properties
* size of the total moment: 0.00 μB per formula unit
* calculated total energy: -23.76 eV per atom
* ΔH_f (0 K): -0.71 eV/atom